[1]
Below is an optimized crystal structure of DyTaO4, with properties calculated at the r²SCAN level.

Structure (extended XYZ):
```
12
Lattice="-1.687 4.236 -2.319 -1.222 -3.356 -3.923 -4.929 -0.764 2.188" Properties=species:S:1:pos:R:3 pbc="T T T"
Dy -4.691 -3.102 -1.266
Dy -1.459 -1.018 -0.468
O -2.770 0.086 -5.095
O -4.013 1.063 -2.736
O -6.278 1.125 -1.304
O -1.559 -1.010 -2.750
O -4.018 2.645 -0.501
O -3.819 -2.530 -3.553
O -3.823 -0.947 -1.318
O -5.067 0.029 1.041
Ta -3.260 -0.632 -3.436
Ta -4.577 0.747 -0.618
```

## Properties
Density (g/cm³): 9.2
Magnetization (μB/f.u.): 0.00
E (eV/cell): -251.968
E_form (eV per atom): -3.5867


[2]
Below is an optimized crystal structure of Sr, with properties calculated at the r²SCAN level.

Structure (extended XYZ):
```
1
Lattice="-2.218 3.672 -0.035 -2.222 1.130 -3.491 -4.289 -0.084 0.067" Properties=species:S:1:pos:R:3 pbc="T T T"
Sr 0.000 0.000 0.000
```

## Properties
Density (g/cm³): 2.6
Magnetization (μB/f.u.): 0.00
E (eV/cell): -15.101
Energy above the most stable polymorph in this dataset (eV/atom): 0.045
E_form (eV per atom): 0.0448


[3]
Below is an optimized crystal structure of MgInNi2, with properties calculated at the r²SCAN level.

Structure (extended XYZ):
```
4
Lattice="3.747 0.000 2.163 1.249 3.533 2.163 0.000 0.000 4.327" Properties=species:S:1:pos:R:3 pbc="T T T"
Mg 2.498 1.766 4.327
In 0.000 0.000 0.000
Ni 1.249 0.883 2.163
Ni 3.747 2.650 6.490
```

## Properties
Density (g/cm³): 7.4
Magnetization (μB/f.u.): 0.00
E (eV/cell): -51.425
E_form (eV per atom): -0.1784


[4]
Below is an optimized crystal structure of Sc3Pb, with properties calculated at the r²SCAN level.

Structure (extended XYZ):
```
4
Lattice="-2.182 2.182 4.976 2.182 -2.182 4.976 2.182 2.182 -4.976" Properties=species:S:1:pos:R:3 pbc="T T T"
Sc 0.000 2.182 2.488
Sc 0.000 0.000 4.976
Sc 2.182 0.000 2.488
Pb 0.000 0.000 0.000
```

## Properties
Density (g/cm³): 6.0
Magnetization (μB/f.u.): 1.00
E (eV/cell): -91.839
E_form (eV per atom): -0.3396


[5]
Below is an optimized crystal structure of CePS, with properties calculated at the r²SCAN level.

Structure (extended XYZ):
```
24
Lattice="-4.436 -2.033 2.656 2.463 -5.090 0.218 7.101 4.077 14.977" Properties=species:S:1:pos:R:3 pbc="T T T"
P -1.647 -2.675 1.562
P 3.097 -3.204 9.078
P 2.032 0.158 8.774
P 6.775 -0.371 16.289
P 3.830 0.982 7.697
P 1.298 -4.028 10.155
P -3.445 -3.499 2.639
P 8.574 0.453 15.212
S 0.199 -2.808 6.897
S -2.028 -0.834 4.689
S 1.482 -2.323 3.602
S 1.120 0.721 5.327
S 4.009 -3.768 12.525
S 4.930 -0.238 10.955
S 7.157 -2.212 13.162
S 3.646 -0.724 14.249
Ce 5.235 -3.036 15.132
Ce -0.805 -0.159 7.248
Ce 2.729 -1.634 6.211
Ce -1.004 -3.525 4.340
Ce 5.934 -2.888 10.604
Ce 6.133 0.479 13.512
Ce -0.106 -0.010 2.719
Ce 2.399 -1.412 11.640
```

## Properties
Density (g/cm³): 5.0
Magnetization (μB/f.u.): 0.99
E (eV/cell): -426.401
E_form (eV per atom): -1.8078


[6]
Below is an optimized crystal structure of In2Se3, with properties calculated at the r²SCAN level.

Structure (extended XYZ):
```
5
Lattice="-2.813 1.523 2.361 2.931 -2.187 1.559 5.407 8.162 1.203" Properties=species:S:1:pos:R:3 pbc="T T T"
Se 0.000 0.000 0.000
Se 2.772 1.687 2.219
Se 2.753 5.811 2.904
In 0.129 1.833 2.323
In 5.396 5.665 2.800
```

## Properties
Density (g/cm³): 5.7
Magnetization (μB/f.u.): 0.00
E (eV/cell): -91.333
E_form (eV per atom): -0.6483


[7]
Below is an optimized crystal structure of SmYIn2, with properties calculated at the r²SCAN level.

Structure (extended XYZ):
```
4
Lattice="0.000 3.787 3.787 3.787 0.000 3.787 3.787 3.787 0.000" Properties=species:S:1:pos:R:3 pbc="T T T"
Sm 1.893 1.893 1.893
In 7.574 7.574 7.574
In 3.787 3.787 3.787
Y 5.680 5.680 5.680
```

## Properties
Density (g/cm³): 7.2
Magnetization (μB/f.u.): 0.00
E (eV/cell): -97.654
E_form (eV per atom): -0.6126


[8]
Below is an optimized crystal structure of MnSeO3, with properties calculated at the r²SCAN level.

Structure (extended XYZ):
```
40
Lattice="8.278 0.000 0.000 0.000 5.247 -0.012 0.000 2.118 13.598" Properties=species:S:1:pos:R:3 pbc="T T T"
Se 7.984 6.630 9.308
Se 3.845 1.795 11.077
Se 4.432 5.571 2.509
Se 0.293 0.736 4.278
Se 2.370 1.922 0.043
Se 1.769 2.982 6.842
Se 6.509 4.384 6.744
Se 5.908 5.443 13.543
O 0.379 5.440 10.342
O 0.893 1.014 0.020
O 6.354 3.423 5.377
O 2.215 2.883 1.410
O 7.899 1.926 3.244
O 6.160 2.185 1.214
O 7.385 6.351 13.566
O 3.760 4.381 3.544
O 4.672 1.485 3.756
O 0.534 4.822 3.031
O 3.246 2.074 6.819
O 7.744 2.544 10.555
O 4.518 2.985 10.042
O 1.924 3.942 8.209
O 3.605 5.881 9.830
O 6.062 4.482 12.176
O 1.855 1.446 4.397
O 6.423 5.920 9.189
O 2.118 5.181 12.372
O 2.284 2.505 11.196
O 6.256 3.244 8.013
O 5.993 4.861 2.390
O 5.032 5.292 6.767
O 2.021 4.122 5.573
Mn 1.937 3.303 3.395
Mn 4.770 1.698 8.182
Mn 6.341 4.063 10.191
Mn 6.076 3.004 3.392
Mn 3.508 5.667 5.404
Mn 7.647 0.639 1.383
Mn 2.202 4.362 10.194
Mn 0.631 6.726 12.203
```

## Properties
Density (g/cm³): 4.1
Magnetization (μB/f.u.): 5.00
E (eV/cell): -430.572
E_form (eV per atom): -1.3818


[9]
Below is an optimized crystal structure of NdCu4Ag, with properties calculated at the r²SCAN level.

Structure (extended XYZ):
```
6
Lattice="-4.983 -0.349 -0.909 -3.293 2.571 2.884 -2.512 3.965 -1.935" Properties=species:S:1:pos:R:3 pbc="T T T"
Cu -6.725 3.857 0.026
Cu -5.485 1.900 0.980
Cu -5.100 2.588 -1.398
Cu -4.266 4.029 0.474
Ag -2.697 1.547 0.010
Nd 0.000 0.000 0.000
```

## Properties
Density (g/cm³): 9.1
Magnetization (μB/f.u.): 0.00
E (eV/cell): -95.223
E_form (eV per atom): -0.1770


[10]
Below is an optimized crystal structure of Al2VNi9, with properties calculated at the r²SCAN level.

Structure (extended XYZ):
```
12
Lattice="-0.804 1.983 2.800 0.090 -2.862 2.053 10.236 1.611 1.798" Properties=species:S:1:pos:R:3 pbc="T T T"
Ni -0.357 -0.440 2.426
Ni 4.716 1.797 2.299
Ni 1.719 -1.168 1.321
Ni 1.272 1.255 1.694
Ni 3.049 0.096 3.025
Ni 5.163 -0.626 1.925
Ni 6.473 0.635 3.626
Ni 8.607 -0.084 2.530
Ni 8.160 2.339 2.903
Al 6.804 1.071 1.195
Al 3.432 0.540 0.603
V 0.000 0.000 0.000
```

## Properties
Density (g/cm³): 8.1
Magnetization (μB/f.u.): 0.77
E (eV/cell): -139.900
E_form (eV per atom): -0.3759


[11]
Below is an optimized crystal structure of Ba2CoSe2Cl2O6, with properties calculated at the r²SCAN level.

Structure (extended XYZ):
```
52
Lattice="0.904 -3.860 7.691 7.836 -0.568 -3.626 7.561 8.829 7.200" Properties=species:S:1:pos:R:3 pbc="T T T"
Cl 6.881 4.747 4.215
Cl 3.675 0.605 -0.322
Cl 12.626 3.796 11.587
Cl 9.419 -0.346 7.050
Cl 8.256 6.010 9.555
Cl 11.251 2.533 6.247
Cl 8.044 -1.609 1.711
Cl 5.050 1.868 5.018
O 11.596 3.769 3.330
O 7.687 -2.891 4.607
O 8.614 7.291 6.658
O 9.299 3.742 11.762
O 8.171 2.278 2.278
O 6.849 -0.455 8.933
O 12.984 5.077 8.690
O 3.536 -0.988 5.161
O 1.092 0.451 1.540
O 4.705 0.632 7.936
O 8.130 2.123 8.988
O 7.962 0.488 4.172
O 12.708 1.698 9.125
O 5.462 -1.763 3.572
O 15.209 3.950 9.725
O 7.002 0.658 -0.497
O 3.317 -0.677 2.575
O 9.451 4.856 2.332
O 10.315 1.191 3.275
O 8.339 3.912 7.093
O 5.986 3.209 7.990
O 3.593 2.703 2.140
O 10.839 6.164 7.693
O 12.765 5.388 6.104
Co 2.185 -1.107 1.016
Co 4.233 2.484 7.445
Co 7.699 4.130 1.787
Co 6.555 -3.321 3.049
Ba 6.408 -0.835 6.072
Ba 9.893 5.236 5.193
Ba 10.210 -1.522 4.070
Ba 10.461 3.708 9.227
Ba 9.874 0.811 0.414
Ba 6.091 5.922 7.195
Ba 5.840 0.692 2.038
Ba 6.427 3.590 10.852
Se 7.202 -0.237 -1.903
Se 8.827 1.890 3.840
Se 3.736 -1.883 3.755
Se 7.474 2.511 7.425
Se 10.940 4.157 1.767
Se 5.361 0.244 9.499
Se 12.564 6.284 7.510
Se 9.099 4.638 13.168
```

## Properties
Density (g/cm³): 4.8
Magnetization (μB/f.u.): 1.00
E (eV/cell): -665.580
E_form (eV per atom): -1.7999


[12]
Below is an optimized crystal structure of PrAl2Au2, with properties calculated at the r²SCAN level.

Structure (extended XYZ):
```
10
Lattice="-3.184 -1.345 -2.737 2.073 -3.857 -0.516 -5.309 -3.938 8.110" Properties=species:S:1:pos:R:3 pbc="T T T"
Al -3.210 -4.570 2.428
Al -2.654 -1.969 4.055
Al -2.284 -1.186 -0.311
Al -3.580 -5.353 6.794
Au -3.560 -2.132 1.638
Au -2.304 -4.407 4.845
Au -0.556 -2.601 -1.627
Au 0.000 0.000 0.000
Pr -0.286 -2.909 1.762
Pr -5.578 -3.630 4.721
```

## Properties
Density (g/cm³): 9.6
Magnetization (μB/f.u.): 0.00
E (eV/cell): -296.375
E_form (eV per atom): -0.8299


[13]
Below is an optimized crystal structure of SrO, with properties calculated at the r²SCAN level.

Structure (extended XYZ):
```
4
Lattice="-1.608 -0.669 -3.097 -1.715 -0.588 3.056 -2.198 5.814 -0.115" Properties=species:S:1:pos:R:3 pbc="T T T"
O -1.099 2.907 -0.057
O 0.000 0.000 0.000
Sr -3.293 3.719 -1.132
Sr -2.229 0.838 0.976
```

## Properties
Density (g/cm³): 5.1
Magnetization (μB/f.u.): 0.00
E (eV/cell): -53.755
E_form (eV per atom): -2.8796


[14]
Below is an optimized crystal structure of Tm2In, with properties calculated at the r²SCAN level.

Structure (extended XYZ):
```
6
Lattice="-3.771 3.064 2.077 2.441 -3.593 3.010 4.574 4.501 1.664" Properties=species:S:1:pos:R:3 pbc="T T T"
In 1.730 4.221 3.636
In 1.514 -0.248 3.115
Tm 0.000 0.000 0.000
Tm 2.287 2.251 0.832
Tm -0.557 1.971 2.804
Tm 3.801 2.002 3.947
```

## Properties
Density (g/cm³): 9.4
Magnetization (μB/f.u.): 0.00
E (eV/cell): -188.386
E_form (eV per atom): -0.4575


[15]
Below is an optimized crystal structure of LiCd2Pt, with properties calculated at the r²SCAN level.

Structure (extended XYZ):
```
4
Lattice="4.041 -1.662 1.436 0.321 -4.367 1.408 2.260 -3.082 -2.560" Properties=species:S:1:pos:R:3 pbc="T T T"
Cd 3.311 -4.555 0.142
Cd 0.000 0.000 0.000
Pt 4.967 -6.833 0.213
Li 1.656 -2.278 0.071
```

## Properties
Density (g/cm³): 10.3
Magnetization (μB/f.u.): 0.00
E (eV/cell): -95.951
E_form (eV per atom): -0.4668


[16]
Below is an optimized crystal structure of Eu2SiO4, with properties calculated at the r²SCAN level.

Structure (extended XYZ):
```
28
Lattice="-5.510 -0.198 -0.695 0.908 -2.905 -6.366 -0.189 -8.942 4.053" Properties=species:S:1:pos:R:3 pbc="T T T"
Eu -0.965 -3.242 -2.531
Eu -0.532 -5.657 -5.278
Eu -1.414 -8.791 2.613
Eu -3.827 -8.803 -0.477
Eu -3.377 -3.254 -5.621
Eu -4.260 -6.388 2.270
Eu -0.893 -7.063 -2.012
Eu -3.899 -4.983 -0.996
O -3.619 -7.288 -2.558
O -3.686 -2.302 -3.450
O 0.099 -6.726 0.702
O -1.173 -4.758 -0.449
O -4.891 -5.320 -3.710
O -0.586 -8.078 -4.154
O -2.660 -2.037 -0.979
O -5.308 -2.133 -1.313
O -1.106 -9.744 0.442
O -0.653 -3.087 -5.048
O -2.549 -6.821 0.368
O -2.243 -5.224 -3.376
O 0.516 -9.913 -1.695
O -4.139 -8.958 2.040
O -4.206 -3.967 1.146
O -2.131 -10.008 -2.029
Si -3.895 -1.666 -1.975
Si -0.897 -10.380 -1.033
Si -1.286 -5.871 0.765
Si -3.505 -6.175 -3.773
```

## Properties
Density (g/cm³): 6.8
Magnetization (μB/f.u.): 0.00
E (eV/cell): -529.600
Energy above the most stable polymorph in this dataset (eV/atom): 0.013
E_form (eV per atom): -3.2420


[17]
Below is an optimized crystal structure of CeLu3S6, with properties calculated at the r²SCAN level.

Structure (extended XYZ):
```
20
Lattice="-0.944 3.778 -0.317 -8.537 -1.576 6.614 3.248 1.696 10.536" Properties=species:S:1:pos:R:3 pbc="T T T"
S -0.325 1.987 12.587
S -6.175 2.798 15.586
S -5.907 1.912 4.247
S -5.388 0.268 7.181
S -2.947 2.869 6.843
S 0.654 1.720 6.503
S -6.889 2.178 10.330
S -0.058 1.100 1.246
S -4.318 1.034 13.118
S -1.916 2.864 3.715
S -0.845 3.630 9.652
S -3.287 1.029 9.990
Lu -2.232 2.552 0.943
Lu -6.607 2.475 13.024
Lu -1.219 1.408 8.358
Lu -4.000 1.346 15.889
Lu -5.016 2.490 8.475
Lu 0.372 1.423 3.809
Ce -2.799 3.329 11.875
Ce -3.432 0.570 4.960
```

## Properties
Density (g/cm³): 6.3
Magnetization (μB/f.u.): 1.00
E (eV/cell): -434.189
E_form (eV per atom): -2.3810


[18]
Below is an optimized crystal structure of Mg6Si7Ni16, with properties calculated at the r²SCAN level.

Structure (extended XYZ):
```
29
Lattice="6.779 1.013 3.964 0.454 5.432 5.743 0.540 -2.274 7.566" Properties=species:S:1:pos:R:3 pbc="T T T"
Mg 1.856 4.065 6.925
Mg 2.175 2.720 11.400
Mg 1.907 -0.493 8.003
Mg 5.916 0.106 10.348
Mg 5.866 4.664 9.270
Mg 5.597 1.451 5.873
Ni 4.589 0.014 7.964
Ni 1.309 0.702 2.909
Ni 3.183 4.158 9.310
Ni 1.485 -0.040 5.378
Ni 4.251 3.138 13.071
Ni 4.804 2.578 10.675
Ni 1.603 2.100 8.804
Ni 2.969 1.593 6.598
Ni 3.522 1.033 4.203
Ni 6.288 4.211 11.895
Ni 6.464 3.469 14.365
Ni 1.457 2.476 4.784
Ni 6.169 2.072 8.470
Ni 6.316 1.696 12.490
Ni 3.224 0.520 10.170
Ni 4.549 3.651 7.104
Si 0.270 -1.137 3.783
Si 3.659 -0.630 5.765
Si 3.617 3.222 4.854
Si 3.886 2.086 8.637
Si 3.390 0.506 1.982
Si 0.497 1.579 6.655
Si 0.227 2.716 2.872
```

## Properties
Density (g/cm³): 6.1
Magnetization (μB/f.u.): 0.00
E (eV/cell): -293.491
E_form (eV per atom): -0.5294